Here is HoAlPt after structural relaxation from the Materials Project database. Energies are from r2SCAN.

Its space group is Pnma. As for the formation energy: -1.277 eV/atom. For the total moment, the calculation gives 0.000 μB/f.u.

Cell lengths 4.384, 6.857, 7.701 Å; angles 90.00, 90.00, 90.00 degrees
Atoms (fractional coordinates):
Ho (0.750, 0.471, 0.819)
Ho (0.750, 0.971, 0.681)
Ho (0.250, 0.529, 0.181)
Ho (0.250, 0.029, 0.319)
Al (0.750, 0.356, 0.436)
Al (0.750, 0.856, 0.064)
Al (0.250, 0.644, 0.564)
Al (0.250, 0.144, 0.936)
Pt (0.750, 0.228, 0.117)
Pt (0.750, 0.728, 0.383)
Pt (0.250, 0.772, 0.883)
Pt (0.250, 0.272, 0.617)

***

Here is HoAlRh after structural relaxation from the Materials Project database. Energies are from r2SCAN.

Its space group is Pnma. As for the formation energy: -0.997 eV/atom. For the total moment, the calculation gives 0.000 μB/f.u.

Cell lengths 4.128, 6.847, 7.944 Å; angles 90.00, 90.00, 90.00 degrees
Atoms (fractional coordinates):
Ho (0.250, 0.537, 0.180)
Ho (0.750, 0.463, 0.820)
Ho (0.750, 0.963, 0.680)
Ho (0.250, 0.037, 0.320)
Al (0.250, 0.635, 0.560)
Al (0.750, 0.365, 0.440)
Al (0.750, 0.865, 0.060)
Al (0.250, 0.135, 0.940)
Rh (0.250, 0.764, 0.879)
Rh (0.750, 0.236, 0.121)
Rh (0.750, 0.736, 0.379)
Rh (0.250, 0.264, 0.621)

***

Here is Ho3Al12Ru4 after structural relaxation from the Materials Project database. Energies are from r2SCAN.

Its space group is P6_3/mmc. As for the formation energy: -0.727 eV/atom. For the total moment, the calculation gives 0.001 μB/f.u.

Cell lengths 8.745, 8.745, 9.486 Å; angles 90.00, 90.00, 120.00 degrees
Atoms (fractional coordinates):
Ho (0.193, 0.386, 0.250)
Ho (0.807, 0.614, 0.750)
Ho (0.614, 0.807, 0.250)
Ho (0.386, 0.193, 0.750)
Ho (0.193, 0.807, 0.250)
Ho (0.807, 0.193, 0.750)
Al (0.333, 0.667, 0.011)
Al (0.667, 0.333, 0.989)
Al (0.667, 0.333, 0.511)
Al (0.333, 0.667, 0.489)
Al (0.163, 0.325, 0.577)
Al (0.837, 0.675, 0.423)
Al (0.675, 0.837, 0.577)
Al (0.837, 0.675, 0.077)
Al (0.325, 0.163, 0.423)
Al (0.163, 0.325, 0.923)
Al (0.163, 0.837, 0.577)
Al (0.325, 0.163, 0.077)
Al (0.837, 0.163, 0.423)
Al (0.675, 0.837, 0.923)
Al (0.837, 0.163, 0.077)
Al (0.163, 0.837, 0.923)
Al (0.561, 0.122, 0.250)
Al (0.439, 0.878, 0.750)
Al (0.878, 0.439, 0.250)
Al (0.122, 0.561, 0.750)
Al (0.561, 0.439, 0.250)
Al (0.439, 0.561, 0.750)
Al (0.000, 0.000, 0.250)
Al (0.000, 0.000, 0.750)
Ru (0.500, 0.000, 0.000)
Ru (0.000, 0.500, 0.000)
Ru (0.500, 0.000, 0.500)
Ru (0.500, 0.500, 0.000)
Ru (0.000, 0.500, 0.500)
Ru (0.500, 0.500, 0.500)
Ru (0.000, 0.000, 0.000)
Ru (0.000, 0.000, 0.500)

***

Here is HoAlSi after structural relaxation from the Materials Project database. Energies are from r2SCAN.

Its space group is Cmcm. As for the formation energy: -0.668 eV/atom. For the total moment, the calculation gives 0.000 μB/f.u.

Cell lengths 5.499, 5.499, 5.666 Å; angles 90.00, 90.00, 137.76 degrees
Atoms (fractional coordinates):
Ho (0.695, 0.305, 0.250)
Ho (0.305, 0.695, 0.750)
Al (0.000, 0.000, 0.000)
Al (0.000, 0.000, 0.500)
Si (0.400, 0.600, 0.250)
Si (0.600, 0.400, 0.750)

***

Here is Ho6Ta4Al43 after structural relaxation from the Materials Project database. Energies are from r2SCAN.

Its space group is P6_3/mcm. As for the formation energy: -0.334 eV/atom. For the total moment, the calculation gives 0.000 μB/f.u.

Cell lengths 11.011, 11.011, 17.724 Å; angles 90.00, 90.00, 120.00 degrees
Atoms (fractional coordinates):
Ho (0.531, 0.000, 0.596)
Ho (0.469, 0.000, 0.404)
Ho (0.000, 0.531, 0.596)
Ho (0.469, 0.000, 0.096)
Ho (0.000, 0.531, 0.904)
Ho (0.000, 0.469, 0.404)
Ho (0.531, 0.000, 0.904)
Ho (0.000, 0.469, 0.096)
Ho (0.469, 0.469, 0.596)
Ho (0.531, 0.531, 0.404)
Ho (0.531, 0.531, 0.096)
Ho (0.469, 0.469, 0.904)
Ta (0.000, 0.000, 0.500)
Ta (0.000, 0.000, 0.000)
Ta (0.726, 0.000, 0.750)
Ta (0.274, 0.000, 0.250)
Ta (0.000, 0.726, 0.750)
Ta (0.000, 0.274, 0.250)
Ta (0.274, 0.274, 0.750)
Ta (0.726, 0.726, 0.250)
Al (0.153, 0.597, 0.750)
Al (0.847, 0.403, 0.250)
Al (0.403, 0.556, 0.750)
Al (0.597, 0.153, 0.750)
Al (0.597, 0.444, 0.250)
Al (0.403, 0.847, 0.250)
Al (0.444, 0.847, 0.750)
Al (0.556, 0.403, 0.750)
Al (0.556, 0.153, 0.250)
Al (0.444, 0.597, 0.250)
Al (0.847, 0.444, 0.750)
Al (0.153, 0.556, 0.250)
Al (0.159, 0.000, 0.115)
Al (0.841, 0.000, 0.885)
Al (0.000, 0.159, 0.115)
Al (0.841, 0.000, 0.615)
Al (0.000, 0.159, 0.385)
Al (0.000, 0.841, 0.885)
Al (0.159, 0.000, 0.385)
Al (0.000, 0.841, 0.615)
Al (0.841, 0.841, 0.115)
Al (0.159, 0.159, 0.885)
Al (0.159, 0.159, 0.615)
Al (0.841, 0.841, 0.385)
Al (0.247, 0.495, 0.500)
Al (0.753, 0.505, 0.500)
Al (0.505, 0.753, 0.500)
Al (0.753, 0.505, 0.000)
Al (0.495, 0.247, 0.000)
Al (0.495, 0.247, 0.500)
Al (0.247, 0.495, 0.000)
Al (0.505, 0.753, 0.000)
Al (0.247, 0.753, 0.500)
Al (0.753, 0.247, 0.500)
Al (0.753, 0.247, 0.000)
Al (0.247, 0.753, 0.000)
Al (0.148, 0.000, 0.750)
Al (0.852, 0.000, 0.250)
Al (0.000, 0.148, 0.750)
Al (0.000, 0.852, 0.250)
Al (0.852, 0.852, 0.750)
Al (0.148, 0.148, 0.250)
Al (0.333, 0.667, 0.625)
Al (0.667, 0.333, 0.375)
Al (0.667, 0.333, 0.125)
Al (0.667, 0.333, 0.875)
Al (0.333, 0.667, 0.875)
Al (0.333, 0.667, 0.125)
Al (0.333, 0.667, 0.375)
Al (0.667, 0.333, 0.625)
Al (0.255, 0.000, 0.530)
Al (0.745, 0.000, 0.470)
Al (0.000, 0.255, 0.530)
Al (0.745, 0.000, 0.030)
Al (0.000, 0.255, 0.970)
Al (0.000, 0.745, 0.470)
Al (0.255, 0.000, 0.970)
Al (0.000, 0.745, 0.030)
Al (0.745, 0.745, 0.530)
Al (0.255, 0.255, 0.470)
Al (0.255, 0.255, 0.030)
Al (0.745, 0.745, 0.970)
Al (0.158, 0.395, 0.662)
Al (0.842, 0.605, 0.338)
Al (0.605, 0.763, 0.662)
Al (0.842, 0.605, 0.162)
Al (0.395, 0.158, 0.838)
Al (0.395, 0.237, 0.338)
Al (0.158, 0.395, 0.838)
Al (0.605, 0.842, 0.162)
Al (0.237, 0.842, 0.662)
Al (0.395, 0.237, 0.162)
Al (0.763, 0.605, 0.838)
Al (0.763, 0.158, 0.338)
Al (0.605, 0.763, 0.838)
Al (0.237, 0.395, 0.162)
Al (0.605, 0.842, 0.338)
Al (0.395, 0.158, 0.662)
Al (0.763, 0.158, 0.162)
Al (0.237, 0.395, 0.338)
Al (0.237, 0.842, 0.838)
Al (0.763, 0.605, 0.662)
Al (0.842, 0.237, 0.838)
Al (0.158, 0.763, 0.162)
Al (0.158, 0.763, 0.338)
Al (0.842, 0.237, 0.662)

***

Here is TbHoAl4 after structural relaxation from the Materials Project database. Energies are from r2SCAN.

Its space group is F-43m. As for the formation energy: -0.585 eV/atom. For the total moment, the calculation gives 0.000 μB/f.u.

Cell lengths 5.535, 5.535, 5.535 Å; angles 60.00, 60.00, 60.00 degrees
Atoms (fractional coordinates):
Tb (0.000, 0.000, 0.000)
Ho (0.250, 0.250, 0.250)
Al (0.625, 0.625, 0.125)
Al (0.625, 0.125, 0.625)
Al (0.125, 0.625, 0.625)
Al (0.625, 0.625, 0.625)

***

Here is AlI3 after structural relaxation from the Materials Project database. Energies are from r2SCAN.

Its space group is P2_1/c. As for the formation energy: -0.773 eV/atom. For the total moment, the calculation gives 0.000 μB/f.u.

Cell lengths 6.313, 9.852, 12.264 Å; angles 108.00, 90.00, 90.00 degrees
Atoms (fractional coordinates):
Al (0.004, 0.809, 0.953)
Al (0.504, 0.191, 0.547)
Al (0.996, 0.191, 0.047)
Al (0.496, 0.809, 0.453)
I (0.768, 0.674, 0.795)
I (0.268, 0.326, 0.705)
I (0.232, 0.326, 0.205)
I (0.732, 0.674, 0.295)
I (0.245, 0.680, 0.047)
I (0.745, 0.320, 0.453)
I (0.755, 0.320, 0.953)
I (0.255, 0.680, 0.547)
I (0.779, 0.999, 0.113)
I (0.279, 0.001, 0.387)
I (0.221, 0.001, 0.887)
I (0.721, 0.999, 0.613)

***

Here is AlInI4 after structural relaxation from the Materials Project database. Energies are from r2SCAN.

Its space group is P2_1/m. As for the formation energy: -0.736 eV/atom. For the total moment, the calculation gives 0.000 μB/f.u.

Cell lengths 11.829, 7.262, 12.315 Å; angles 84.04, 90.00, 90.00 degrees
Atoms (fractional coordinates):
Al (0.750, 0.227, 0.555)
Al (0.250, 0.773, 0.445)
Al (0.750, 0.431, 0.028)
Al (0.250, 0.569, 0.972)
In (0.481, 0.594, 0.706)
In (0.519, 0.406, 0.294)
In (0.981, 0.406, 0.294)
In (0.019, 0.594, 0.706)
I (0.750, 0.104, 0.366)
I (0.926, 0.230, 0.054)
I (0.750, 0.579, 0.513)
I (0.428, 0.880, 0.342)
I (0.750, 0.612, 0.839)
I (0.750, 0.662, 0.172)
I (0.574, 0.230, 0.054)
I (0.074, 0.770, 0.946)
I (0.250, 0.896, 0.634)
I (0.572, 0.120, 0.658)
I (0.072, 0.880, 0.342)
I (0.250, 0.421, 0.487)
I (0.250, 0.388, 0.161)
I (0.928, 0.120, 0.658)
I (0.426, 0.770, 0.946)
I (0.250, 0.338, 0.828)